Material: K2Mo4O13
Method: DFT, PBE+U
State: relaxed

a b c (Å): 7.7218 15.7105 18.9718
angles (deg): 90.00 90.00 90.00
With the nearest neighbours (Å) after each atom.
Fractional coordinates of all 152 atoms:
K1 0.1071 0.0297 0.0844  5 O 2.69-2.90
K2 0.1071 0.4703 0.5844  5 O 2.69-2.90
K3 0.2295 0.7159 0.5671  7 O 2.81-3.06
K4 0.2295 0.7841 0.0671  7 O 2.81-3.06
K5 0.2705 0.2159 0.5671  7 O 2.81-3.06
K6 0.2705 0.2841 0.0671  7 O 2.81-3.06
K7 0.3929 0.5297 0.0844  5 O 2.69-2.90
K8 0.3929 0.9703 0.5844  5 O 2.69-2.90
K9 0.6071 0.0297 0.4156  5 O 2.69-2.90
K10 0.6071 0.4703 0.9156  5 O 2.69-2.90
K11 0.7295 0.7159 0.9329  7 O 2.81-3.06
K12 0.7295 0.7841 0.4329  7 O 2.81-3.06
K13 0.7705 0.2159 0.9329  7 O 2.81-3.06
K14 0.7705 0.2841 0.4329  7 O 2.81-3.06
K15 0.8929 0.5297 0.4156  5 O 2.69-2.90
K16 0.8929 0.9703 0.9156  5 O 2.69-2.90
Mo1 0.0790 0.2226 0.2490  3 O 1.73-1.92
Mo2 0.0790 0.2774 0.7490  3 O 1.73-1.92
Mo3 0.1058 0.0679 0.3926  3 O 1.75-1.92
Mo4 0.1058 0.4321 0.8926  3 O 1.75-1.92
Mo5 0.1720 0.0685 0.7439  4 O 1.77-1.96
Mo6 0.1720 0.4315 0.2439  4 O 1.77-1.96
Mo7 0.2061 0.6384 0.9023  4 O 1.74-1.92
Mo8 0.2061 0.8616 0.4023  4 O 1.74-1.92
Mo9 0.2939 0.1384 0.9023  4 O 1.74-1.92
Mo10 0.2939 0.3616 0.4023  4 O 1.74-1.92
Mo11 0.3280 0.5685 0.7439  4 O 1.77-1.96
Mo12 0.3280 0.9315 0.2439  4 O 1.77-1.96
Mo13 0.3942 0.5679 0.3926  3 O 1.75-1.92
Mo14 0.3942 0.9321 0.8926  3 O 1.75-1.92
Mo15 0.4210 0.7226 0.2490  3 O 1.73-1.92
Mo16 0.4210 0.7774 0.7490  3 O 1.73-1.92
Mo17 0.5790 0.2226 0.2510  3 O 1.73-1.92
Mo18 0.5790 0.2774 0.7510  3 O 1.73-1.92
Mo19 0.6058 0.0679 0.1074  3 O 1.75-1.92
Mo20 0.6058 0.4321 0.6074  3 O 1.75-1.92
Mo21 0.6720 0.0685 0.7561  4 O 1.77-1.96
Mo22 0.6720 0.4315 0.2561  4 O 1.77-1.96
Mo23 0.7061 0.6384 0.5977  4 O 1.74-1.92
Mo24 0.7061 0.8616 0.0977  4 O 1.74-1.92
Mo25 0.7939 0.1384 0.5977  4 O 1.74-1.92
Mo26 0.7939 0.3616 0.0977  4 O 1.74-1.92
Mo27 0.8280 0.5685 0.7561  4 O 1.77-1.96
Mo28 0.8280 0.9315 0.2561  4 O 1.77-1.96
Mo29 0.8942 0.5679 0.1074  3 O 1.75-1.92
Mo30 0.8942 0.9321 0.6074  3 O 1.75-1.92
Mo31 0.9210 0.7226 0.2510  3 O 1.73-1.92
Mo32 0.9210 0.7774 0.7510  3 O 1.73-1.92
O1 0.0457 0.5501 0.9243  2 Mo 1.91-2.00
O2 0.0457 0.9499 0.4243  2 Mo 1.91-2.00
O3 0.0550 0.1577 0.1762  1 Mo 1.73
O4 0.0550 0.3423 0.6762  1 Mo 1.73
O5 0.0730 0.1668 0.6950  2 Mo 1.96-2.02
O6 0.0730 0.3332 0.1950  2 Mo 1.96-2.02
O7 0.0767 0.5156 0.1952  1 Mo 1.77
O8 0.0767 0.9844 0.6952  1 Mo 1.77
O9 0.0777 0.6205 0.0759  1 Mo 1.75
O10 0.0777 0.8795 0.5759  1 Mo 1.75
O11 0.1004 0.7272 0.9368  1 Mo 1.74
O12 0.1004 0.7728 0.4368  1 Mo 1.74
O13 0.1138 0.1227 0.9572  1 Mo 1.76
O14 0.1138 0.3773 0.4572  1 Mo 1.76
O15 0.1172 0.5724 0.7063  1 Mo 1.78
O16 0.1172 0.9276 0.2063  1 Mo 1.78
O17 0.1346 0.7299 0.2159  1 Mo 1.78
O18 0.1346 0.7701 0.7159  1 Mo 1.78
O19 0.1691 0.1469 0.3196  2 Mo 1.92
O20 0.1691 0.3531 0.8196  2 Mo 1.92
O21 0.1927 0.1778 0.8161  1 Mo 1.92
O22 0.1927 0.3222 0.3161  1 Mo 1.92
O23 0.2221 0.0208 0.8328  1 Mo 1.88
O24 0.2221 0.4792 0.3328  1 Mo 1.88
O25 0.2358 0.5864 0.4569  1 Mo 1.75
O26 0.2358 0.9136 0.9569  1 Mo 1.75
O27 0.2642 0.0864 0.4569  1 Mo 1.75
O28 0.2642 0.4136 0.9569  1 Mo 1.75
O29 0.2779 0.5208 0.8328  1 Mo 1.88
O30 0.2779 0.9792 0.3328  1 Mo 1.88
O31 0.3073 0.6778 0.8161  1 Mo 1.92
O32 0.3073 0.8222 0.3161  1 Mo 1.92
O33 0.3309 0.6469 0.3196  2 Mo 1.92
O34 0.3309 0.8531 0.8196  2 Mo 1.92
O35 0.3654 0.2299 0.2159  1 Mo 1.78
O36 0.3654 0.2701 0.7159  1 Mo 1.78
O37 0.3828 0.0724 0.7063  1 Mo 1.78
O38 0.3828 0.4276 0.2063  1 Mo 1.78
O39 0.3862 0.6227 0.9572  1 Mo 1.76
O40 0.3862 0.8773 0.4572  1 Mo 1.76
O41 0.3996 0.2272 0.9368  1 Mo 1.74
O42 0.3996 0.2728 0.4368  1 Mo 1.74
O43 0.4223 0.1205 0.0759  1 Mo 1.75
O44 0.4223 0.3795 0.5759  1 Mo 1.75
O45 0.4233 0.0156 0.1952  1 Mo 1.77
O46 0.4233 0.4844 0.6952  1 Mo 1.77
O47 0.4270 0.6668 0.6950  2 Mo 1.96-2.02
O48 0.4270 0.8332 0.1950  2 Mo 1.96-2.02
O49 0.4450 0.6577 0.1762  1 Mo 1.73
O50 0.4450 0.8423 0.6762  1 Mo 1.73
O51 0.4543 0.0501 0.9243  2 Mo 1.91-2.00
O52 0.4543 0.4499 0.4243  2 Mo 1.91-2.00
O53 0.5457 0.5501 0.5757  2 Mo 1.91-2.00
O54 0.5457 0.9499 0.0757  2 Mo 1.91-2.00
O55 0.5550 0.1577 0.3238  1 Mo 1.73
O56 0.5550 0.3423 0.8238  1 Mo 1.73
O57 0.5730 0.1668 0.8050  2 Mo 1.96-2.02
O58 0.5730 0.3332 0.3050  2 Mo 1.96-2.02
O59 0.5767 0.5156 0.3048  1 Mo 1.77
O60 0.5767 0.9844 0.8048  1 Mo 1.77
O61 0.5777 0.6205 0.4241  1 Mo 1.75
O62 0.5777 0.8795 0.9241  1 Mo 1.75
O63 0.6004 0.7272 0.5632  1 Mo 1.74
O64 0.6004 0.7728 0.0632  1 Mo 1.74
O65 0.6138 0.1227 0.5428  1 Mo 1.76
O66 0.6138 0.3773 0.0428  1 Mo 1.76
O67 0.6172 0.5724 0.7937  1 Mo 1.78
O68 0.6172 0.9276 0.2937  1 Mo 1.78
O69 0.6346 0.7299 0.2841  1 Mo 1.78
O70 0.6346 0.7701 0.7841  1 Mo 1.78
O71 0.6691 0.1469 0.1804  2 Mo 1.92
O72 0.6691 0.3531 0.6804  2 Mo 1.92
O73 0.6927 0.1778 0.6839  1 Mo 1.92
O74 0.6927 0.3222 0.1839  1 Mo 1.92
O75 0.7221 0.0208 0.6672  1 Mo 1.88
O76 0.7221 0.4792 0.1672  1 Mo 1.88
O77 0.7358 0.5864 0.0431  1 Mo 1.75
O78 0.7358 0.9136 0.5431  1 Mo 1.75
O79 0.7642 0.0864 0.0431  1 Mo 1.75
O80 0.7642 0.4136 0.5431  1 Mo 1.75
O81 0.7779 0.5208 0.6672  1 Mo 1.88
O82 0.7779 0.9792 0.1672  1 Mo 1.88
O83 0.8073 0.6778 0.6839  1 Mo 1.92
O84 0.8073 0.8222 0.1839  1 Mo 1.92
O85 0.8309 0.6469 0.1804  2 Mo 1.92
O86 0.8309 0.8531 0.6804  2 Mo 1.92
O87 0.8654 0.2299 0.2841  1 Mo 1.78
O88 0.8654 0.2701 0.7841  1 Mo 1.78
O89 0.8828 0.0724 0.7937  1 Mo 1.78
O90 0.8828 0.4276 0.2937  1 Mo 1.78
O91 0.8862 0.6227 0.5428  1 Mo 1.76
O92 0.8862 0.8773 0.0428  1 Mo 1.76
O93 0.8996 0.2272 0.5632  1 Mo 1.74
O94 0.8996 0.2728 0.0632  1 Mo 1.74
O95 0.9223 0.1205 0.4241  1 Mo 1.75
O96 0.9223 0.3795 0.9241  1 Mo 1.75
O97 0.9233 0.0156 0.3048  1 Mo 1.77
O98 0.9233 0.4844 0.8048  1 Mo 1.77
O99 0.9270 0.6668 0.8050  2 Mo 1.96-2.02
O100 0.9270 0.8332 0.3050  2 Mo 1.96-2.02
O101 0.9450 0.6577 0.3238  1 Mo 1.73
O102 0.9450 0.8423 0.8238  1 Mo 1.73
O103 0.9543 0.0501 0.5757  2 Mo 1.91-2.00
O104 0.9543 0.4499 0.0757  2 Mo 1.91-2.00

Values from the calculation:
Energy relative to the elements in eV per formula unit: -39.168
Energy above the lowest structure with this stoichiometry in meV/atom: 0
Energy in Ha/atom: -0.2463
SG: No. 61


Material: K2Mo3O13
Method: DFT, PBE+U
State: relaxed

a b c (Å): 9.3923 9.3923 7.6582
angles (deg): 90.00 90.00 83.07
With the nearest neighbours (Å) after each atom.
Fractional coordinates of all 36 atoms:
K1 0.0159 0.5803 0.7500  6 O 2.74-2.93
K2 0.4197 0.9841 0.7500  6 O 2.74-2.93
K3 0.5803 0.0159 0.2500  6 O 2.74-2.93
K4 0.9841 0.4197 0.2500  6 O 2.74-2.93
Mo1 0.3310 0.6690 0.2500  2 O 1.74
Mo2 0.3702 0.3702 0.0000  2 O 1.75
Mo3 0.3702 0.3702 0.5000  2 O 1.75
Mo4 0.6298 0.6298 0.0000  2 O 1.75
Mo5 0.6298 0.6298 0.5000  2 O 1.75
Mo6 0.6690 0.3310 0.7500  2 O 1.74
O1 0.0362 0.0514 0.2500  1 O 1.23
O2 0.0514 0.0362 0.7500  1 O 1.23
O3 0.1476 0.6561 0.2500  1 Mo 1.74
O4 0.1844 0.4037 0.5276  1 Mo 1.75
O5 0.1844 0.4037 0.9724  1 Mo 1.75
O6 0.2755 0.7245 0.7500  2 O 2.47
O7 0.3439 0.8524 0.2500  1 Mo 1.74
O8 0.3785 0.4192 0.2500  2 Mo 1.97
O9 0.3920 0.6080 0.0111  1 Mo 1.98
O10 0.3920 0.6080 0.4889  1 Mo 1.98
O11 0.4037 0.1844 0.0276  1 Mo 1.75
O12 0.4037 0.1844 0.4724  1 Mo 1.75
O13 0.4192 0.3785 0.7500  2 Mo 1.97
O14 0.5808 0.6215 0.2500  2 Mo 1.97
O15 0.5963 0.8156 0.5276  1 Mo 1.75
O16 0.5963 0.8156 0.9724  1 Mo 1.75
O17 0.6080 0.3920 0.5111  1 Mo 1.98
O18 0.6080 0.3920 0.9889  1 Mo 1.98
O19 0.6215 0.5808 0.7500  2 Mo 1.97
O20 0.6561 0.1476 0.7500  1 Mo 1.74
O21 0.7245 0.2755 0.2500  2 O 2.47
O22 0.8156 0.5963 0.0276  1 Mo 1.75
O23 0.8156 0.5963 0.4724  1 Mo 1.75
O24 0.8524 0.3439 0.7500  1 Mo 1.74
O25 0.9486 0.9638 0.2500  1 O 1.23
O26 0.9638 0.9486 0.7500  1 O 1.23

Values from the calculation:
Energy relative to the elements in eV per formula unit: -23.835
Energy in Ha/atom: -0.2271
SG: No. 63


Material: K2Mo4O13
Method: DFT, PBE+U
State: relaxed

a b c (Å): 8.2488 8.5338 10.3328
angles (deg): 107.37 103.10 109.50
With the nearest neighbours (Å) after each atom.
Fractional coordinates of all 38 atoms:
K1 0.1850 0.2353 0.3094  6 O 2.70-3.02
K2 0.2412 0.7817 0.4303  6 O 2.80-3.11
K3 0.7588 0.2183 0.5697  6 O 2.80-3.11
K4 0.8150 0.7647 0.6906  6 O 2.70-3.02
Mo1 0.2750 0.2034 0.7099  3 O 1.74-1.92
Mo2 0.2790 0.6062 0.7310  3 O 1.73-1.93
Mo3 0.3160 0.5068 0.0509  3 O 1.74-1.93
Mo4 0.3313 0.9081 0.0620  2 O 1.72-1.75
Mo5 0.6687 0.0919 0.9380  2 O 1.72-1.75
Mo6 0.6840 0.4932 0.9491  3 O 1.74-1.93
Mo7 0.7210 0.3938 0.2690  3 O 1.73-1.93
Mo8 0.7250 0.7966 0.2901  3 O 1.74-1.92
O1 0.0913 0.6438 0.6588  1 Mo 1.73
O2 0.0996 0.9863 0.6472  1 Mo 1.74
O3 0.1425 0.3468 0.6643  2 Mo 1.93-1.98
O4 0.1567 0.9401 0.9620  1 Mo 1.72
O5 0.1845 0.2856 0.9095  1 Mo 1.77
O6 0.2148 0.6358 0.9459  2 Mo 2.00-2.02
O7 0.2178 0.5101 0.1833  1 Mo 1.74
O8 0.2983 0.9441 0.2278  1 Mo 1.75
O9 0.3665 0.1860 0.5708  1 Mo 1.76
O10 0.3975 0.6183 0.6112  1 Mo 1.75
O11 0.4510 0.8628 0.8829  2 Mo 1.97-2.03
O12 0.4627 0.5141 0.8643  1 Mo 1.93
O13 0.4767 0.2153 0.8547  1 Mo 1.92
O14 0.5233 0.7847 0.1453  1 Mo 1.92
O15 0.5373 0.4859 0.1357  1 Mo 1.93
O16 0.5490 0.1372 0.1171  2 Mo 1.97-2.03
O17 0.6025 0.3817 0.3888  1 Mo 1.75
O18 0.6335 0.8140 0.4292  1 Mo 1.76
O19 0.7017 0.0559 0.7722  1 Mo 1.75
O20 0.7822 0.4899 0.8167  1 Mo 1.74
O21 0.7852 0.3642 0.0541  2 Mo 2.00-2.02
O22 0.8155 0.7144 0.0905  1 Mo 1.77
O23 0.8433 0.0599 0.0380  1 Mo 1.72
O24 0.8575 0.6532 0.3357  2 Mo 1.93-1.98
O25 0.9004 0.0137 0.3528  1 Mo 1.74
O26 0.9087 0.3562 0.3412  1 Mo 1.73

Values from the calculation:
Energy relative to the elements in eV per formula unit: -39.055
Energy above the lowest structure with this stoichiometry in meV/atom: 6
Energy in Ha/atom: -0.2461
SG: No. 2


Material: K3Mo10O30
Method: DFT, PBE+U
State: relaxed

a b c (Å): 9.5565 9.6899 9.7478
angles (deg): 111.94 100.83 110.16
With the nearest neighbours (Å) after each atom.
Fractional coordinates of all 43 atoms:
K1 0.0000 0.0000 0.0000  2 O 2.54
K2 0.3436 0.2479 0.7767  5 O 2.77-2.95
K3 0.6564 0.7521 0.2233  5 O 2.77-2.95
Mo1 0.0121 0.2885 0.4631  4 O 1.72-1.89
Mo2 0.1788 0.4245 0.1852  3 O 1.73-1.92
Mo3 0.2379 0.5895 0.8973  5 O 1.88-2.03
Mo4 0.3406 0.9226 0.3002  4 O 1.72-1.92
Mo5 0.4804 0.2812 0.2013  1 O 1.70
Mo6 0.5196 0.7188 0.7987  1 O 1.70
Mo7 0.6594 0.0774 0.6998  4 O 1.72-1.92
Mo8 0.7621 0.4105 0.1027  5 O 1.88-2.03
Mo9 0.8212 0.5755 0.8148  3 O 1.73-1.92
Mo10 0.9879 0.7115 0.5369  4 O 1.72-1.89
O1 0.0360 0.6182 0.8805  2 Mo 1.88-2.03
O2 0.0818 0.9290 0.6110  1 Mo 1.76
O3 0.1174 0.3222 0.3266  2 Mo 1.87-2.04
O4 0.1385 0.6521 0.5480  1 Mo 1.72
O5 0.1471 0.8329 0.2902  1 Mo 1.72
O6 0.1479 0.3968 0.6779  2 Mo 1.89-2.00
O7 0.1912 0.4588 0.0005  2 Mo 1.88-1.97
O8 0.2596 0.2655 0.1133  2 Mo 1.92-2.05
O9 0.3212 0.6252 0.3254  1 Mo 1.73
O10 0.3470 0.7794 0.8549  1 O 1.88, 2 Mo 2.01-2.03
O11 0.3585 0.0938 0.2622  1 Mo 1.79
O12 0.3661 0.7851 0.1354  1 Mo 1.79
O13 0.4352 0.5688 0.6049  1 Mo 1.70
O14 0.4517 0.5899 0.9082  2 Mo 1.95-2.02
O15 0.5000 0.0000 0.0000  2 O 1.88
O16 0.5000 0.0000 0.5000  2 Mo 1.92
O17 0.5483 0.4101 0.0918  2 Mo 1.95-2.02
O18 0.5648 0.4312 0.3951  1 Mo 1.70
O19 0.6339 0.2149 0.8646  1 Mo 1.79
O20 0.6415 0.9062 0.7378  1 Mo 1.79
O21 0.6530 0.2206 0.1451  1 O 1.88, 2 Mo 2.01-2.03
O22 0.6788 0.3748 0.6746  1 Mo 1.73
O23 0.7404 0.7345 0.8867  2 Mo 1.92-2.05
O24 0.8088 0.5412 0.9995  2 Mo 1.88-1.97
O25 0.8521 0.6032 0.3221  2 Mo 1.89-2.00
O26 0.8529 0.1671 0.7098  1 Mo 1.72
O27 0.8615 0.3479 0.4520  1 Mo 1.72
O28 0.8826 0.6778 0.6734  2 Mo 1.87-2.04
O29 0.9182 0.0710 0.3890  1 Mo 1.76
O30 0.9640 0.3818 0.1195  2 Mo 1.88-2.03

Values from the calculation:
Energy relative to the elements in eV per formula unit: -79.251
Energy above the lowest structure with this stoichiometry in meV/atom: 165
Energy in Ha/atom: -0.2451
SG: No. 2